Material: Cs2Li3B5O10
Method: DFT, PBE
State: optimized geometry

Properties
* magnetization: 0.00 μB/f.u.
* crystal system: orthorhombic
* formation energy: -2692 meV/atom

```
data_Cs2Li3B5O10
_chemical_formula_sum 'Cs8 Li12 B20 O40'
_cell_length_a 7.375
_cell_length_b 11.685
_cell_length_c 13.074
_cell_angle_alpha 90.00
_cell_angle_beta 90.00
_cell_angle_gamma 90.00
_space_group_name_H-M_alt 'C 2 2 21'
_space_group_IT_number 20
loop_
_space_group_symop_operation_xyz
'x,y,z'
'-x,-y,z+1/2'
'x,-y,-z'
'-x,y,-z+1/2'
'x+1/2,y+1/2,z'
'-x+1/2,-y+1/2,z+1/2'
'x+1/2,-y+1/2,-z'
'-x+1/2,y+1/2,-z+1/2'
loop_
_atom_site_label
_atom_site_type_symbol
_atom_site_fract_x
_atom_site_fract_y
_atom_site_fract_z
Cs1 Cs 0.000 0.234 0.250
Cs2 Cs 0.209 0.500 0.500
Li1 Li 0.000 0.320 0.750
Li2 Li 0.134 0.311 0.963
B1 B 0.000 0.084 0.750
B2 B 0.119 0.165 0.582
B3 B 0.220 0.499 0.164
O1 O 0.012 0.161 0.841
O2 O 0.106 0.235 0.501
O3 O 0.109 0.413 0.850
O4 O 0.162 0.010 0.747
O5 O 0.225 0.405 0.093
```



Material: Cs2Li3B3P6Pb2O24
Method: DFT, PBE
State: optimized geometry

Properties
* magnetization: 0.01 μB/f.u.
* crystal system: cubic
* formation energy: -2684 meV/atom

```
data_Cs2Li3B3P6Pb2O24
_chemical_formula_sum 'Cs8 Li12 B12 P24 Pb8 O96'
_cell_length_a 12.955
_cell_length_b 12.955
_cell_length_c 12.955
_cell_angle_alpha 90.00
_cell_angle_beta 90.00
_cell_angle_gamma 90.00
_space_group_name_H-M_alt 'P 21 3'
_space_group_IT_number 198
_space_group_name_Hall 'P 2ac 2ab 3'
loop_
_atom_site_label
_atom_site_type_symbol
_atom_site_fract_x
_atom_site_fract_y
_atom_site_fract_z
Cs1 Cs 0.149 0.149 0.149
Cs2 Cs 0.152 0.652 0.848
Li1 Li 0.062 0.400 0.304
B1 B 0.118 0.647 0.132
P1 P 0.054 0.914 0.683
P2 P 0.122 0.154 0.862
Pb1 Pb 0.060 0.440 0.560
Pb2 Pb 0.096 0.904 0.404
O1 O 0.019 0.108 0.899
O2 O 0.028 0.640 0.063
O3 O 0.067 0.400 0.807
O4 O 0.082 0.633 0.239
O5 O 0.086 0.894 0.214
O6 O 0.097 0.292 0.403
O7 O 0.102 0.841 0.605
O8 O 0.118 0.176 0.744
```